VASP calculation (PBE with a Hubbard U) on a relaxed Na2VSiW12O54 crystal.

Output
The formation enthalpy at 0 K comes out at -1047 meV/atom. As for the symmetry: P4/n. Its total energy is -916.29 eV for the cell shown.

```
Na2VSiW12O54
1.0
14.713 0.000 0.000
0.000 14.713 0.000
0.000 0.000 10.793
Na V Si W O
4 2 2 24 108
direct
0.000 0.000 0.000 Na
0.000 0.500 0.000 Na
0.500 0.000 0.000 Na
0.500 0.500 0.000 Na
0.250 0.250 0.182 V
0.750 0.750 0.818 V
0.250 0.750 0.500 Si
0.750 0.250 0.500 Si
0.011 0.803 0.510 W
0.101 0.665 0.736 W
0.108 0.650 0.263 W
0.150 0.892 0.737 W
0.165 0.899 0.264 W
0.197 0.511 0.490 W
0.303 0.989 0.490 W
0.335 0.601 0.264 W
0.350 0.608 0.737 W
0.392 0.850 0.263 W
0.399 0.835 0.736 W
0.489 0.697 0.510 W
0.511 0.303 0.490 W
0.601 0.165 0.264 W
0.608 0.150 0.737 W
0.650 0.392 0.263 W
0.665 0.399 0.736 W
0.697 0.011 0.510 W
0.803 0.489 0.510 W
0.835 0.101 0.736 W
0.850 0.108 0.263 W
0.892 0.350 0.737 W
0.899 0.335 0.264 W
0.989 0.197 0.490 W
0.001 0.289 0.359 O
0.026 0.622 0.151 O
0.036 0.706 0.391 O
0.038 0.892 0.640 O
0.044 0.601 0.849 O
0.055 0.168 0.015 O
0.076 0.879 0.393 O
0.101 0.172 0.525 O
0.101 0.956 0.151 O
0.106 0.782 0.820 O
0.108 0.538 0.360 O
0.121 0.576 0.607 O
0.122 0.974 0.849 O
0.142 0.773 0.218 O
0.160 0.173 0.246 O
0.162 0.769 0.590 O
0.168 0.445 0.015 O
0.172 0.399 0.525 O
0.173 0.340 0.246 O
0.185 0.226 0.803 O
0.206 0.964 0.609 O
0.211 0.001 0.359 O
0.218 0.606 0.180 O
0.226 0.315 0.803 O
0.227 0.642 0.782 O
0.231 0.662 0.410 O
0.250 0.250 0.031 O
0.250 0.250 0.392 O
0.269 0.838 0.410 O
0.273 0.858 0.782 O
0.274 0.185 0.803 O
0.282 0.894 0.180 O
0.289 0.499 0.359 O
0.294 0.536 0.609 O
0.315 0.274 0.803 O
0.327 0.160 0.246 O
0.328 0.101 0.525 O
0.332 0.055 0.015 O
0.338 0.731 0.590 O
0.340 0.327 0.246 O
0.358 0.727 0.218 O
0.378 0.526 0.849 O
0.379 0.924 0.607 O
0.392 0.962 0.360 O
0.394 0.718 0.820 O
0.399 0.328 0.525 O
0.399 0.544 0.151 O
0.424 0.621 0.393 O
0.445 0.332 0.015 O
0.456 0.899 0.849 O
0.462 0.608 0.640 O
0.464 0.794 0.391 O
0.474 0.878 0.151 O
0.499 0.211 0.359 O
0.501 0.789 0.641 O
0.526 0.122 0.849 O
0.536 0.206 0.609 O
0.538 0.392 0.360 O
0.544 0.101 0.151 O
0.555 0.668 0.985 O
0.576 0.379 0.607 O
0.601 0.456 0.849 O
0.601 0.672 0.475 O
0.606 0.282 0.180 O
0.608 0.038 0.640 O
0.621 0.076 0.393 O
0.622 0.474 0.151 O
0.642 0.273 0.782 O
0.660 0.673 0.754 O
0.662 0.269 0.410 O
0.668 0.945 0.985 O
0.672 0.899 0.475 O
0.673 0.840 0.754 O
0.685 0.726 0.197 O
0.706 0.464 0.391 O
0.711 0.501 0.641 O
0.718 0.106 0.820 O
0.726 0.815 0.197 O
0.727 0.142 0.218 O
0.731 0.162 0.590 O
0.750 0.750 0.608 O
0.750 0.750 0.969 O
0.769 0.338 0.590 O
0.773 0.358 0.218 O
0.774 0.685 0.197 O
0.782 0.394 0.820 O
0.789 0.999 0.641 O
0.794 0.036 0.391 O
0.815 0.774 0.197 O
0.827 0.660 0.754 O
0.828 0.601 0.475 O
0.832 0.555 0.985 O
0.838 0.231 0.410 O
0.840 0.827 0.754 O
0.858 0.227 0.782 O
0.878 0.026 0.151 O
0.879 0.424 0.393 O
0.892 0.462 0.640 O
0.894 0.218 0.180 O
0.899 0.044 0.849 O
0.899 0.828 0.475 O
0.924 0.121 0.607 O
0.945 0.832 0.985 O
0.956 0.399 0.151 O
0.962 0.108 0.360 O
0.964 0.294 0.609 O
0.974 0.378 0.849 O
0.999 0.711 0.641 O
```